Density functional theory data (GGA+U) for VRhO4 after structural relaxation.

Calculated values
**Magnetization**: 0.00 μB per formula unit
**V**: 127.0 Å³/cell
**E_form**: -1.77 eV per atom
**Energy with MP2020 corrections**: -7.81 eV per atom

Geometry as POSCAR:
```
VRhO4
1.0
6.4713 0.0000 0.0000
0.0000 6.4839 0.0000
0.0000 0.0000 3.0269
V Rh O
2 2 8
Direct
0.0000 0.0000 0.0000
0.5000 0.5000 0.0000
0.0000 0.5000 0.5000
0.5000 0.0000 0.5000
0.0000 0.2990 0.0000
0.0000 0.7010 0.0000
0.1907 0.0000 0.5000
0.3093 0.5000 0.5000
0.5000 0.2010 0.0000
0.5000 0.7990 0.0000
0.6907 0.5000 0.5000
0.8093 0.0000 0.5000
```

---

Density functional theory data (GGA+U) for Ca15NiIr4O24 after structural relaxation.

Calculated values
**Magnetization**: 6.00 μB per formula unit
**V**: 569.3 Å³/cell
**E_form**: -2.63 eV per atom
**Energy with MP2020 corrections**: -6.95 eV per atom

Geometry as POSCAR:
```
Ca15NiIr4O24
1.0
6.5780 0.0000 0.0000
0.0000 9.3859 0.0000
-0.2135 0.0000 9.2207
Ca Ni Ir O
15 1 4 24
Direct
0.0000 0.0000 0.0000
0.0000 0.1345 0.5000
0.0000 0.4948 0.5000
0.0000 0.6352 0.0000
0.1374 0.8154 0.6794
0.1465 0.3126 0.1783
0.3611 0.9560 0.3133
0.3648 0.4523 0.8237
0.5000 0.2743 0.5000
0.5000 0.6357 0.5000
0.5000 0.7813 0.0000
0.6352 0.4523 0.1763
0.6389 0.9560 0.6867
0.8535 0.3126 0.8217
0.8626 0.8154 0.3206
0.5000 0.1352 0.0000
0.2498 0.6351 0.2499
0.2523 0.1359 0.7524
0.7477 0.1359 0.2476
0.7502 0.6351 0.7501
0.0452 0.0721 0.2587
0.0471 0.5707 0.7574
0.1746 0.8112 0.1300
0.1809 0.3104 0.6294
0.1941 0.7474 0.4345
0.2116 0.2433 0.9402
0.3042 0.5226 0.0657
0.3064 0.0239 0.5669
0.3260 0.4567 0.3689
0.3313 0.9703 0.8820
0.4521 0.1937 0.2253
0.4531 0.7028 0.7429
0.5469 0.7028 0.2571
0.5479 0.1937 0.7747
0.6687 0.9703 0.1180
0.6740 0.4567 0.6311
0.6936 0.0239 0.4331
0.6958 0.5226 0.9343
0.7884 0.2433 0.0598
0.8059 0.7474 0.5655
0.8191 0.3104 0.3706
0.8254 0.8112 0.8700
0.9529 0.5707 0.2426
0.9548 0.0721 0.7413
```

---

Density functional theory data (GGA+U) for LiV3OF11 after structural relaxation.

Calculated values
**Energy relative to the lowest polymorph listed for this composition**: 0.024 eV per atom
**Magnetization**: 3.00 μB per formula unit
**V**: 445.5 Å³/cell
**E_form**: -2.96 eV per atom
**Energy with MP2020 corrections**: -6.40 eV per atom

Geometry as POSCAR:
```
LiV3OF11
1.0
5.2894 0.0000 0.0000
0.0628 5.4679 0.0000
0.0105 2.6762 15.4037
Li V O F
2 6 2 22
Direct
0.0000 0.0000 0.0000
0.4120 0.8437 0.3566
0.1781 0.6328 0.1800
0.1829 0.3102 0.8368
0.1854 0.9671 0.5150
0.6635 0.4915 0.5114
0.6783 0.8029 0.8405
0.6838 0.1426 0.1681
0.4609 0.7633 0.4891
0.7693 0.1640 0.0655
0.0911 0.6845 0.0653
0.0924 0.3430 0.7266
0.1132 0.0043 0.3984
0.2468 0.2466 0.9550
0.2636 0.9273 0.6265
0.2718 0.6028 0.2923
0.3695 0.9365 0.1548
0.3808 0.6185 0.8206
0.3854 0.2716 0.4891
0.4715 0.4514 0.1533
0.4846 0.1132 0.8190
0.5916 0.0836 0.2881
0.6056 0.4138 0.6245
0.6092 0.7717 0.9540
0.7587 0.5117 0.3999
0.7724 0.8455 0.7310
0.8794 0.4978 0.8645
0.8867 0.8209 0.2031
0.8947 0.1733 0.5306
0.9647 0.6760 0.5345
0.9765 0.9945 0.8693
0.9833 0.3366 0.2014
```

---

Density functional theory data (GGA+U) for CoPO4 after structural relaxation.

Calculated values
**Magnetization**: 0.00 μB per formula unit
**V**: 742.6 Å³/cell
**E_form**: -2.09 eV per atom
**Energy with MP2020 corrections**: -7.48 eV per atom

Geometry as POSCAR:
```
CoPO4
1.0
10.3873 0.0000 0.0000
0.0000 5.2138 0.0000
0.0000 0.0000 13.7120
Co P O
8 8 32
Direct
0.0400 0.0690 0.0000
0.2215 0.5533 0.2481
0.2785 0.5533 0.7481
0.4600 0.0690 0.5000
0.5400 0.9310 0.0000
0.7215 0.4467 0.2481
0.7785 0.4467 0.7481
0.9600 0.9310 0.5000
0.0276 0.4297 0.6242
0.2130 0.0500 0.3758
0.2870 0.0500 0.8758
0.4724 0.4297 0.1242
0.5276 0.5703 0.6242
0.7130 0.9500 0.3758
0.7870 0.9500 0.8758
0.9724 0.5703 0.1242
0.0030 0.1413 0.6041
0.0154 0.4119 0.0341
0.0486 0.4947 0.2172
0.0683 0.0056 0.3960
0.1731 0.4696 0.6433
0.2082 0.9733 0.9674
0.2443 0.3351 0.3543
0.2493 0.8914 0.2837
0.2507 0.8914 0.7837
0.2557 0.3351 0.8543
0.2918 0.9733 0.4674
0.3269 0.4696 0.1433
0.4317 0.0056 0.8960
0.4514 0.4947 0.7172
0.4846 0.4119 0.5341
0.4970 0.1413 0.1041
0.5030 0.8587 0.6041
0.5154 0.5881 0.0341
0.5486 0.5053 0.2172
0.5683 0.9944 0.3960
0.6731 0.5304 0.6433
0.7082 0.0267 0.9674
0.7443 0.6649 0.3543
0.7493 0.1086 0.2837
0.7507 0.1086 0.7837
0.7557 0.6649 0.8543
0.7918 0.0267 0.4674
0.8269 0.5304 0.1433
0.9317 0.9944 0.8960
0.9514 0.5053 0.7172
0.9846 0.5881 0.5341
0.9970 0.8587 0.1041
```